## a
## Dy2Se3O12 (PBE-GGA)

Data for a geometry-optimized Dy2Se3O12 structure.

Geometry as POSCAR:
```
Dy2Se3O12
1.0
3.561 -5.831 0.000
3.561 5.831 0.000
-3.527 0.000 10.729
Dy Se O
4 6 24
Direct
0.043 0.293 0.094 Dy
0.293 0.043 0.594 Dy
0.707 0.957 0.406 Dy
0.957 0.707 0.906 Dy
0.118 0.882 0.250 Se
0.213 0.472 0.425 Se
0.472 0.213 0.925 Se
0.528 0.787 0.075 Se
0.787 0.528 0.575 Se
0.882 0.118 0.750 Se
0.027 0.416 0.290 O
0.078 0.682 0.123 O
0.112 0.213 0.458 O
0.127 0.211 0.712 O
0.211 0.127 0.212 O
0.213 0.112 0.958 O
0.234 0.663 0.544 O
0.318 0.922 0.377 O
0.337 0.766 0.956 O
0.416 0.027 0.790 O
0.424 0.533 0.107 O
0.467 0.576 0.393 O
0.533 0.424 0.607 O
0.576 0.467 0.893 O
0.584 0.973 0.210 O
0.663 0.234 0.044 O
0.682 0.078 0.623 O
0.766 0.337 0.456 O
0.787 0.888 0.042 O
0.789 0.873 0.788 O
0.873 0.789 0.288 O
0.888 0.787 0.542 O
0.922 0.318 0.877 O
0.973 0.584 0.710 O
```

## Properties
SG: C2/c (15)


## b
## Dy2Se3O12 (PBE-GGA)

Data for a geometry-optimized Dy2Se3O12 structure.

Geometry as POSCAR:
```
Dy2Se3O12
1.0
13.476 0.000 0.000
0.000 9.696 0.000
0.000 0.000 9.786
Dy Se O
8 12 48
Direct
0.118 0.250 0.038 Dy
0.118 0.750 0.538 Dy
0.382 0.250 0.538 Dy
0.382 0.750 0.038 Dy
0.618 0.250 0.962 Dy
0.618 0.750 0.462 Dy
0.882 0.250 0.462 Dy
0.882 0.750 0.962 Dy
0.000 0.035 0.750 Se
0.000 0.965 0.250 Se
0.147 0.394 0.388 Se
0.147 0.606 0.888 Se
0.353 0.106 0.888 Se
0.353 0.894 0.388 Se
0.500 0.465 0.250 Se
0.500 0.535 0.750 Se
0.647 0.106 0.612 Se
0.647 0.894 0.112 Se
0.853 0.394 0.112 Se
0.853 0.606 0.612 Se
0.035 0.333 0.426 O
0.035 0.667 0.926 O
0.065 0.135 0.855 O
0.065 0.865 0.355 O
0.080 0.062 0.164 O
0.080 0.938 0.664 O
0.148 0.436 0.906 O
0.148 0.564 0.406 O
0.176 0.356 0.228 O
0.176 0.644 0.728 O
0.227 0.323 0.496 O
0.227 0.677 0.996 O
0.273 0.177 0.996 O
0.273 0.823 0.496 O
0.324 0.144 0.728 O
0.324 0.856 0.228 O
0.352 0.064 0.406 O
0.352 0.936 0.906 O
0.420 0.438 0.664 O
0.420 0.562 0.164 O
0.435 0.365 0.355 O
0.435 0.635 0.855 O
0.465 0.167 0.926 O
0.465 0.833 0.426 O
0.535 0.167 0.574 O
0.535 0.833 0.074 O
0.565 0.365 0.145 O
0.565 0.635 0.645 O
0.580 0.438 0.836 O
0.580 0.562 0.336 O
0.648 0.064 0.094 O
0.648 0.936 0.594 O
0.676 0.144 0.772 O
0.676 0.856 0.272 O
0.727 0.177 0.504 O
0.727 0.823 0.004 O
0.773 0.323 0.004 O
0.773 0.677 0.504 O
0.824 0.356 0.272 O
0.824 0.644 0.772 O
0.852 0.436 0.594 O
0.852 0.564 0.094 O
0.920 0.062 0.336 O
0.920 0.938 0.836 O
0.935 0.135 0.645 O
0.935 0.865 0.145 O
0.965 0.333 0.074 O
0.965 0.667 0.574 O
```

## Properties
SG: Pbcn (60)


Most stable structure, least stable structure: b, a.


## a
## Dy2TiO5 (PBE-GGA)

Data for a geometry-optimized Dy2TiO5 structure.

Geometry as POSCAR:
```
Dy2TiO5
1.0
10.449 0.000 0.000
0.000 3.721 0.000
0.000 0.000 11.301
Dy Ti O
8 4 20
Direct
0.114 0.250 0.223 Dy
0.136 0.250 0.555 Dy
0.364 0.750 0.055 Dy
0.386 0.750 0.723 Dy
0.614 0.250 0.277 Dy
0.636 0.250 0.945 Dy
0.864 0.750 0.445 Dy
0.886 0.750 0.777 Dy
0.176 0.250 0.879 Ti
0.324 0.750 0.379 Ti
0.676 0.250 0.621 Ti
0.824 0.750 0.121 Ti
0.006 0.750 0.605 O
0.009 0.250 0.843 O
0.226 0.250 0.042 O
0.237 0.750 0.882 O
0.241 0.750 0.228 O
0.259 0.250 0.728 O
0.263 0.250 0.382 O
0.274 0.750 0.542 O
0.491 0.750 0.343 O
0.494 0.250 0.105 O
0.506 0.750 0.895 O
0.509 0.250 0.657 O
0.726 0.250 0.458 O
0.737 0.750 0.618 O
0.741 0.750 0.272 O
0.759 0.250 0.772 O
0.763 0.250 0.118 O
0.774 0.750 0.958 O
0.991 0.750 0.157 O
0.994 0.250 0.395 O
```

## Properties
SG: Pnma (62)


## b
## Dy2TiO5 (PBE-GGA)

Data for a geometry-optimized Dy2TiO5 structure.

Geometry as POSCAR:
```
Dy2TiO5
1.0
7.255 0.000 0.000
3.620 6.569 0.000
0.063 0.581 17.721
Dy Ti O
16 8 40
Direct
0.000 0.000 0.000 Dy
0.001 0.461 0.495 Dy
0.152 0.656 0.842 Dy
0.160 0.645 0.342 Dy
0.299 0.368 0.171 Dy
0.301 0.858 0.174 Dy
0.321 0.305 0.668 Dy
0.465 0.042 0.987 Dy
0.495 0.457 0.497 Dy
0.631 0.681 0.828 Dy
0.694 0.126 0.824 Dy
0.767 0.386 0.669 Dy
0.820 0.328 0.190 Dy
0.821 0.846 0.174 Dy
0.968 0.531 0.013 Dy
0.989 0.981 0.520 Dy
0.137 0.181 0.833 Ti
0.161 0.155 0.334 Ti
0.317 0.820 0.672 Ti
0.471 0.002 0.500 Ti
0.479 0.489 0.007 Ti
0.644 0.667 0.344 Ti
0.650 0.151 0.333 Ti
0.822 0.811 0.665 Ti
0.031 0.985 0.866 O
0.046 0.867 0.643 O
0.096 0.256 0.936 O
0.142 0.676 0.466 O
0.151 0.680 0.216 O
0.181 0.126 0.445 O
0.181 0.168 0.219 O
0.192 0.653 0.967 O
0.206 0.078 0.719 O
0.244 0.357 0.795 O
0.309 0.878 0.327 O
0.313 0.908 0.053 O
0.322 0.324 0.050 O
0.329 0.926 0.573 O
0.332 0.286 0.540 O
0.336 0.291 0.330 O
0.376 0.661 0.771 O
0.439 0.531 0.625 O
0.461 0.000 0.863 O
0.531 0.495 0.107 O
0.533 0.491 0.365 O
0.607 0.744 0.453 O
0.615 0.172 0.219 O
0.615 0.735 0.693 O
0.633 0.244 0.951 O
0.633 0.680 0.235 O
0.639 0.603 0.956 O
0.654 0.124 0.444 O
0.659 0.147 0.702 O
0.712 0.918 0.571 O
0.784 0.873 0.322 O
0.790 0.864 0.037 O
0.826 0.313 0.547 O
0.842 0.351 0.797 O
0.850 0.793 0.788 O
0.890 0.185 0.313 O
0.937 0.492 0.366 O
0.949 0.516 0.131 O
0.956 0.043 0.127 O
0.983 0.532 0.636 O
```

## Properties
SG: P1 (1)
Total magnetic moment, μB per cell: 0.00


## c
## Dy2TiO5 (PBE-GGA)

Data for a geometry-optimized Dy2TiO5 structure.

Geometry as POSCAR:
```
Dy2TiO5
1.0
7.159 0.000 0.000
-3.548 6.360 0.000
-3.437 -2.223 12.020
Dy Ti O
10 5 25
Direct
0.000 0.000 0.000 Dy
0.004 0.496 0.547 Dy
0.015 0.484 0.034 Dy
0.475 0.459 0.013 Dy
0.483 0.471 0.502 Dy
0.496 0.971 0.011 Dy
0.503 0.696 0.771 Dy
0.508 0.229 0.257 Dy
0.528 0.988 0.542 Dy
0.602 0.738 0.270 Dy
0.000 0.222 0.759 Ti
0.020 0.742 0.778 Ti
0.027 0.961 0.519 Ti
0.036 0.184 0.262 Ti
0.516 0.240 0.776 Ti
0.076 0.746 0.938 O
0.085 0.519 0.737 O
0.087 0.187 0.424 O
0.093 0.307 0.935 O
0.100 0.791 0.452 O
0.108 0.999 0.220 O
0.324 0.341 0.802 O
0.332 0.140 0.611 O
0.334 0.430 0.305 O
0.337 0.932 0.813 O
0.363 0.146 0.074 O
0.378 0.655 0.588 O
0.384 0.681 0.101 O
0.629 0.281 0.454 O
0.632 0.773 0.953 O
0.651 0.312 0.938 O
0.665 0.808 0.452 O
0.677 0.116 0.730 O
0.683 0.528 0.198 O
0.685 0.513 0.744 O
0.708 0.077 0.249 O
0.910 0.192 0.105 O
0.914 0.938 0.802 O
0.922 0.728 0.612 O
0.935 0.157 0.607 O
```

## Properties
SG: P1 (1)
Total magnetic moment, μB per cell: 0.00


## d
## Dy2TiO5 (PBE-GGA)

Data for a geometry-optimized Dy2TiO5 structure.

Geometry as POSCAR:
```
Dy2TiO5
1.0
7.375 0.000 0.000
-3.546 6.594 0.000
-3.530 -2.182 11.767
Dy Ti O
10 5 25
Direct
0.000 0.000 0.000 Dy
0.004 0.987 0.491 Dy
0.015 0.526 0.502 Dy
0.026 0.749 0.763 Dy
0.062 0.295 0.262 Dy
0.484 0.694 0.747 Dy
0.489 0.486 0.038 Dy
0.503 0.020 0.027 Dy
0.509 0.192 0.753 Dy
0.975 0.507 0.000 Dy
0.006 0.251 0.754 Ti
0.462 0.951 0.515 Ti
0.471 0.234 0.246 Ti
0.511 0.774 0.256 Ti
0.982 0.726 0.257 Ti
0.043 0.277 0.432 O
0.124 0.489 0.695 O
0.134 0.327 0.918 O
0.141 0.817 0.955 O
0.143 0.802 0.417 O
0.156 0.626 0.218 O
0.165 0.142 0.720 O
0.213 0.074 0.269 O
0.360 0.192 0.088 O
0.374 0.131 0.564 O
0.378 0.718 0.579 O
0.419 0.473 0.252 O
0.424 0.905 0.825 O
0.431 0.724 0.089 O
0.565 0.899 0.407 O
0.583 0.064 0.225 O
0.594 0.332 0.937 O
0.731 0.103 0.643 O
0.795 0.468 0.285 O
0.804 0.843 0.295 O
0.831 0.880 0.818 O
0.842 0.442 0.803 O
0.854 0.718 0.090 O
0.878 0.185 0.074 O
0.907 0.712 0.577 O
```

## Properties
SG: P1 (1)
Total magnetic moment, μB per cell: 0.00


Most stable structure, least stable structure: a, d.


## a
## Dy2TiO5 (PBE-GGA)

Data for a geometry-optimized Dy2TiO5 structure.

Geometry as POSCAR:
```
Dy2TiO5
1.0
7.458 0.000 0.000
0.000 3.636 0.000
0.000 0.000 15.566
Dy Ti O
8 4 20
Direct
0.108 0.250 0.083 Dy
0.149 0.250 0.738 Dy
0.351 0.750 0.238 Dy
0.392 0.750 0.583 Dy
0.608 0.250 0.417 Dy
0.649 0.250 0.762 Dy
0.851 0.750 0.262 Dy
0.892 0.750 0.917 Dy
0.120 0.250 0.424 Ti
0.380 0.750 0.924 Ti
0.620 0.250 0.076 Ti
0.880 0.750 0.576 Ti
0.079 0.750 0.454 O
0.083 0.750 0.174 O
0.110 0.750 0.649 O
0.156 0.750 0.995 O
0.240 0.750 0.825 O
0.260 0.250 0.325 O
0.344 0.250 0.495 O
0.390 0.250 0.149 O
0.417 0.250 0.674 O
0.421 0.250 0.954 O
0.579 0.750 0.046 O
0.583 0.750 0.326 O
0.610 0.750 0.851 O
0.656 0.750 0.505 O
0.740 0.750 0.675 O
0.760 0.250 0.175 O
0.844 0.250 0.005 O
0.890 0.250 0.351 O
0.917 0.250 0.826 O
0.921 0.250 0.546 O
```

## Properties
SG: Pnma (62)
Total magnetic moment, μB per cell: 0.00


## b
## Dy2TiO5 (PBE-GGA)

Data for a geometry-optimized Dy2TiO5 structure.

Geometry as POSCAR:
```
Dy2TiO5
1.0
5.903 -2.642 0.000
5.903 2.642 0.000
-3.079 0.000 6.895
Dy Ti O
4 2 10
Direct
0.128 0.152 0.258 Dy
0.152 0.128 0.758 Dy
0.848 0.872 0.242 Dy
0.872 0.848 0.742 Dy
0.500 0.500 0.000 Ti
0.500 0.500 0.500 Ti
0.111 0.745 0.041 O
0.185 0.479 0.360 O
0.255 0.889 0.459 O
0.335 0.665 0.750 O
0.479 0.185 0.860 O
0.521 0.815 0.140 O
0.665 0.335 0.250 O
0.745 0.111 0.541 O
0.815 0.521 0.640 O
0.889 0.255 0.959 O
```

## Properties
SG: C2/c (15)
Total magnetic moment, μB per cell: 0.00


## c
## Dy2TiO5 (PBE-GGA)

Data for a geometry-optimized Dy2TiO5 structure.

Geometry as POSCAR:
```
Dy2TiO5
1.0
2.042 -5.550 0.000
2.042 5.550 0.000
0.000 0.000 10.528
Dy Ti O
4 2 10
Direct
0.143 0.857 0.570 Dy
0.143 0.857 0.930 Dy
0.857 0.143 0.070 Dy
0.857 0.143 0.430 Dy
0.170 0.830 0.250 Ti
0.830 0.170 0.750 Ti
0.051 0.949 0.124 O
0.051 0.949 0.376 O
0.277 0.723 0.750 O
0.289 0.711 0.092 O
0.289 0.711 0.408 O
0.711 0.289 0.592 O
0.711 0.289 0.908 O
0.723 0.277 0.250 O
0.949 0.051 0.624 O
0.949 0.051 0.876 O
```

## Properties
SG: Cmcm (63)
Total magnetic moment, μB per cell: 0.00


Most stable structure, least stable structure: a, b.